Record 1
VASP calculation (GGA-PBE) on crystalline MoWSeS3 at its relaxed geometry.

Cell: 3.220 3.220 36.338 Å, 90.00 90.00 120.00°
Element x y z (fractional)
S 0.333 0.667 0.051
W 0.333 0.667 0.282
S 0.000 0.000 0.325
Se 0.333 0.667 0.517
Se 0.333 0.667 0.423
S 0.000 0.000 0.615
Mo 0.000 0.000 0.470
S 0.000 0.000 0.701
S 0.333 0.667 0.137
W 0.333 0.667 0.658
S 0.000 0.000 0.239
Mo 0.000 0.000 0.094

Computed properties:
- Energy of formation: -1.034 eV per atom
- VASP energy: -7.401 eV/atom


Record 2
VASP calculation (GGA-PBE) on crystalline Mg6FeSi at its relaxed geometry.

Cell: 4.665 6.064 10.340 Å, 90.00 90.00 90.00°
Element x y z (fractional)
Mg 0.000 0.242 0.589
Mg 0.000 0.758 0.589
Si 0.500 0.500 0.184
Mg 0.500 0.764 0.910
Mg 0.500 0.236 0.910
Mg 0.000 0.258 0.089
Fe 0.000 0.500 0.317
Mg 0.500 0.264 0.410
Mg 0.500 0.736 0.410
Si 0.500 0.000 0.684
Fe 0.000 0.000 0.817
Mg 0.500 0.000 0.167
Mg 0.500 0.500 0.667
Mg 0.000 0.742 0.089
Mg 0.000 0.500 0.834
Mg 0.000 0.000 0.334

Computed properties:
- Energy of formation: 0.162 eV per atom
- VASP energy: -2.784 eV/atom


Record 3
VASP calculation (GGA-PBE) on crystalline Mg2Pt at its relaxed geometry.

Cell: 5.336 5.336 5.336 Å, 106.50 106.50 115.60°
Element x y z (fractional)
Pt 0.750 0.750 0.000
Mg 0.685 0.185 0.869
Pt 0.250 0.250 0.000
Mg 0.185 0.315 0.500
Mg 0.815 0.685 0.500
Mg 0.315 0.815 0.131

Computed properties:
- Energy of formation: -0.708 eV per atom
- VASP energy: -3.799 eV/atom


Record 4
VASP calculation (GGA-PBE) on crystalline Ba3N2 at its relaxed geometry.

Cell: 11.416 11.416 11.416 Å, 109.47 109.47 109.47°
Element x y z (fractional)
N 0.500 0.500 0.500
N 0.000 0.000 0.500
N 0.193 0.943 0.250
N 0.250 0.193 0.943
N 0.000 0.500 0.000
Ba 0.954 0.727 0.997
Ba 0.273 0.730 0.227
Ba 0.227 0.273 0.730
Ba 0.727 0.997 0.954
N 0.250 0.693 0.443
Ba 0.544 0.773 0.546
N 0.750 0.807 0.057
Ba 0.546 0.544 0.773
Ba 0.230 0.956 0.503
N 0.693 0.443 0.250
Ba 0.730 0.227 0.273
N 0.557 0.750 0.307
N 0.307 0.557 0.750
N 0.500 0.000 0.000
Ba 0.046 0.273 0.003
N 0.750 0.307 0.557
Ba 0.273 0.003 0.046
Ba 0.044 0.497 0.770
Ba 0.956 0.503 0.230
Ba 0.773 0.727 0.270
N 0.443 0.250 0.693
N 0.943 0.250 0.193
Ba 0.727 0.270 0.773
Ba 0.497 0.770 0.044
Ba 0.003 0.046 0.273
Ba 0.503 0.230 0.956
Ba 0.456 0.227 0.454
Ba 0.227 0.454 0.456
N 0.057 0.750 0.807
Ba 0.773 0.546 0.544
Ba 0.454 0.456 0.227
Ba 0.770 0.044 0.497
N 0.807 0.057 0.750
Ba 0.997 0.954 0.727
Ba 0.270 0.773 0.727

Computed properties:
- Energy of formation: -0.457 eV per atom
- VASP energy: -4.798 eV/atom


Record 5
VASP calculation (GGA-PBE) on crystalline CeNiGe at its relaxed geometry.

Cell: 4.306 7.202 7.208 Å, 90.00 90.00 90.00°
Element x y z (fractional)
Ni 0.250 0.702 0.080
Ge 0.750 0.698 0.910
Ce 0.750 0.012 0.209
Ge 0.250 0.802 0.410
Ni 0.750 0.798 0.580
Ce 0.250 0.988 0.791
Ni 0.250 0.202 0.420
Ce 0.750 0.512 0.291
Ge 0.250 0.302 0.090
Ce 0.250 0.488 0.709
Ni 0.750 0.298 0.920
Ge 0.750 0.198 0.590

Computed properties:
- Energy of formation: -0.739 eV per atom
- VASP energy: -6.185 eV/atom


Record 6
VASP calculation (GGA-PBE) on crystalline BaSrI4 at its relaxed geometry.

Cell: 8.187 8.363 17.403 Å, 90.00 90.00 90.00°
Element x y z (fractional)
I 0.496 0.746 0.512
Ba 0.750 0.500 0.368
I 0.512 0.337 0.223
I 0.004 0.246 0.012
I 0.012 0.163 0.277
I 0.996 0.754 0.988
I 0.512 0.163 0.723
Sr 0.250 0.500 0.905
Sr 0.250 0.000 0.405
Sr 0.750 0.500 0.095
I 0.488 0.663 0.777
I 0.988 0.663 0.223
I 0.996 0.746 0.488
Ba 0.750 0.000 0.868
Sr 0.750 0.000 0.595
I 0.012 0.337 0.777
I 0.488 0.837 0.277
I 0.504 0.254 0.488
I 0.504 0.246 0.988
I 0.496 0.754 0.012
I 0.004 0.254 0.512
Ba 0.250 0.500 0.632
I 0.988 0.837 0.723
Ba 0.250 0.000 0.132

Computed properties:
- Energy of formation: -1.958 eV per atom
- VASP energy: -3.322 eV/atom


Record 7
VASP calculation (GGA-PBE) on crystalline Sr2LiInB4O10 at its relaxed geometry.

Cell: 5.308 12.895 13.985 Å, 62.58 90.00 90.00°
Element x y z (fractional)
O 0.033 0.157 0.528
O 0.846 0.124 0.226
O 0.430 0.391 0.645
O 0.570 0.609 0.355
B 0.435 0.143 0.769
O 0.346 0.876 0.274
B 0.862 0.393 0.210
In 0.928 0.253 0.615
B 0.403 0.852 0.054
O 0.927 0.842 0.638
O 0.654 0.124 0.726
Sr 0.924 0.975 0.876
O 0.624 0.362 0.193
Sr 0.076 0.025 0.124
O 0.416 0.573 0.214
O 0.687 0.612 0.996
Sr 0.424 0.025 0.624
O 0.070 0.391 0.145
Sr 0.127 0.329 0.856
In 0.072 0.747 0.385
B 0.080 0.376 0.050
O 0.084 0.573 0.714
O 0.813 0.612 0.496
O 0.846 0.127 0.945
O 0.930 0.609 0.855
In 0.572 0.253 0.115
In 0.428 0.747 0.885
O 0.376 0.638 0.807
O 0.126 0.650 0.994
Li 0.898 0.483 0.398
B 0.097 0.852 0.554
Li 0.602 0.483 0.898
O 0.626 0.350 0.506
B 0.935 0.857 0.731
Sr 0.576 0.975 0.376
Sr 0.873 0.671 0.144
O 0.967 0.843 0.472
Sr 0.627 0.671 0.644
O 0.346 0.873 0.555
O 0.916 0.427 0.286
B 0.065 0.143 0.269
B 0.138 0.607 0.790
B 0.580 0.624 0.450
Li 0.398 0.517 0.102
B 0.903 0.148 0.446
O 0.584 0.427 0.786
O 0.467 0.157 0.028
O 0.794 0.866 0.273
O 0.573 0.842 0.138
O 0.294 0.134 0.227
B 0.420 0.376 0.550
O 0.706 0.866 0.773
O 0.374 0.650 0.494
B 0.597 0.148 0.946
O 0.533 0.843 0.972
O 0.206 0.134 0.727
O 0.427 0.158 0.862
O 0.654 0.127 0.445
Sr 0.373 0.329 0.356
B 0.920 0.624 0.950
O 0.876 0.362 0.693
O 0.124 0.638 0.307
B 0.362 0.607 0.290
O 0.874 0.350 0.006
O 0.073 0.158 0.362
Li 0.102 0.517 0.602
B 0.638 0.393 0.710
B 0.565 0.857 0.231
O 0.154 0.876 0.774
O 0.187 0.388 0.504
O 0.154 0.873 0.055
O 0.313 0.388 0.004

Computed properties:
- Energy of formation: -2.896 eV per atom
- VASP energy: -7.194 eV/atom


Record 8
VASP calculation (GGA-PBE) on crystalline Ti2Cd at its relaxed geometry.

Cell: 7.078 7.078 7.078 Å, 156.66 156.66 33.24°
Element x y z (fractional)
Ti 0.678 0.678 0.000
Cd 0.000 0.000 0.000
Ti 0.322 0.322 0.000

Computed properties:
- Energy of formation: -0.070 eV per atom
- VASP energy: -5.641 eV/atom


Record 9
VASP calculation (GGA-PBE) on crystalline Pr2Ga5Cu3 at its relaxed geometry.

Cell: 4.265 4.265 10.184 Å, 90.00 90.00 90.00°
Element x y z (fractional)
Cu 0.500 0.500 0.500
Ga 0.000 0.500 0.621
Ga 0.500 0.500 0.000
Ga 0.500 0.000 0.379
Cu 0.000 0.000 0.500
Pr 0.500 0.000 0.747
Ga 0.500 0.000 0.132
Ga 0.000 0.500 0.868
Pr 0.000 0.500 0.253
Cu 0.000 0.000 0.000

Computed properties:
- Energy of formation: -0.470 eV per atom
- VASP energy: -4.170 eV/atom


Record 10
VASP calculation (GGA-PBE) on crystalline CuO at its relaxed geometry.

Cell: 4.161 4.161 3.888 Å, 90.00 90.00 90.00°
Element x y z (fractional)
O 0.000 0.500 0.000
O 0.000 0.000 0.500
O 0.500 0.000 0.000
Cu 0.000 0.500 0.500
Cu 0.000 0.000 0.000
Cu 0.500 0.000 0.500

Computed properties:
- Energy of formation: -0.665 eV per atom
- VASP energy: -4.845 eV/atom


Record 11
VASP calculation (GGA-PBE) on crystalline Dy6Nb4Al43 at its relaxed geometry.

Cell: 11.152 11.152 17.761 Å, 90.00 90.00 120.00°
Element x y z (fractional)
Al 0.753 0.506 0.000
Nb 0.727 0.000 0.750
Al 0.157 0.762 0.336
Al 0.238 0.395 0.336
Al 0.333 0.667 0.873
Al 0.843 0.605 0.164
Al 0.395 0.238 0.336
Al 0.256 0.000 0.530
Al 0.247 0.494 0.000
Al 0.238 0.843 0.836
Al 0.333 0.667 0.373
Al 0.667 0.333 0.627
Al 0.256 0.256 0.030
Al 0.157 0.395 0.836
Al 0.000 0.256 0.530
Nb 0.000 0.727 0.750
Dy 0.470 0.000 0.096
Al 0.843 0.238 0.664
Al 0.000 0.159 0.385
Al 0.753 0.247 0.500
Al 0.843 0.238 0.836
Al 0.159 0.159 0.885
Nb 0.000 0.273 0.250
Al 0.446 0.851 0.750
Al 0.238 0.395 0.164
Al 0.238 0.843 0.664
Al 0.595 0.446 0.250
Al 0.000 0.744 0.030
Al 0.605 0.762 0.664
Dy 0.000 0.530 0.596
Al 0.554 0.149 0.250
Al 0.753 0.247 0.000
Al 0.247 0.494 0.500
Al 0.256 0.000 0.970
Al 0.000 0.853 0.250
Al 0.841 0.841 0.385
Al 0.851 0.446 0.750
Al 0.000 0.841 0.615
Al 0.159 0.159 0.615
Al 0.744 0.744 0.970
Al 0.159 0.000 0.385
Nb 0.727 0.727 0.250
Al 0.605 0.843 0.164
Al 0.147 0.000 0.750
Dy 0.530 0.530 0.096
Al 0.667 0.333 0.373
Al 0.247 0.753 0.500
Al 0.333 0.667 0.627
Al 0.494 0.247 0.500
Al 0.753 0.506 0.500
Al 0.000 0.841 0.885
Dy 0.470 0.470 0.596
Al 0.843 0.605 0.336
Al 0.762 0.157 0.164
Al 0.744 0.000 0.470
Al 0.149 0.595 0.750
Al 0.000 0.744 0.470
Al 0.000 0.256 0.970
Al 0.595 0.149 0.750
Al 0.395 0.157 0.664
Dy 0.470 0.470 0.904
Dy 0.530 0.530 0.404
Al 0.157 0.395 0.664
Al 0.333 0.667 0.127
Al 0.762 0.157 0.336
Al 0.256 0.256 0.470
Dy 0.000 0.470 0.404
Al 0.506 0.753 0.500
Dy 0.000 0.470 0.096
Al 0.247 0.753 0.000
Nb 0.273 0.000 0.250
Dy 0.530 0.000 0.904
Al 0.506 0.753 0.000
Al 0.405 0.851 0.250
Al 0.395 0.157 0.836
Al 0.000 0.147 0.750
Nb 0.000 0.000 0.500
Al 0.853 0.853 0.750
Al 0.494 0.247 0.000
Al 0.395 0.238 0.164
Al 0.841 0.000 0.885
Al 0.853 0.000 0.250
Al 0.762 0.605 0.664
Al 0.851 0.405 0.250
Al 0.554 0.405 0.750
Dy 0.000 0.530 0.904
Al 0.147 0.147 0.250
Al 0.667 0.333 0.127
Al 0.405 0.554 0.750
Al 0.000 0.159 0.115
Al 0.841 0.000 0.615
Al 0.667 0.333 0.873
Al 0.762 0.605 0.836
Al 0.744 0.000 0.030
Al 0.841 0.841 0.115
Al 0.157 0.762 0.164
Al 0.605 0.762 0.836
Al 0.744 0.744 0.530
Al 0.159 0.000 0.115
Al 0.446 0.595 0.250
Dy 0.470 0.000 0.404
Nb 0.273 0.273 0.750
Al 0.605 0.843 0.336
Nb 0.000 0.000 0.000
Dy 0.530 0.000 0.596
Al 0.149 0.554 0.250

Computed properties:
- Energy of formation: -0.334 eV per atom
- VASP energy: -4.656 eV/atom


Record 12
VASP calculation (GGA-PBE) on crystalline USeS at its relaxed geometry.

Cell: 3.758 7.160 10.204 Å, 90.00 90.00 90.00°
Element x y z (fractional)
U 0.750 0.174 0.669
Se 0.750 0.802 0.544
U 0.250 0.326 0.169
S 0.250 0.459 0.713
Se 0.750 0.302 0.956
Se 0.250 0.698 0.044
Se 0.250 0.198 0.456
U 0.250 0.826 0.331
S 0.750 0.041 0.213
S 0.750 0.541 0.287
U 0.750 0.674 0.831
S 0.250 0.959 0.787

Computed properties:
- Energy of formation: -1.429 eV per atom
- VASP energy: -7.569 eV/atom


Record 13
VASP calculation (GGA-PBE) on crystalline CuOsN2 at its relaxed geometry.

Cell: 2.943 5.142 12.271 Å, 90.00 90.00 29.12°
Element x y z (fractional)
N 0.000 0.041 0.847
N 0.000 0.041 0.653
Cu 0.000 0.000 0.500
Os 0.000 0.286 0.250
Cu 0.000 0.000 0.000
Os 0.000 0.714 0.750
N 0.000 0.959 0.347
N 0.000 0.959 0.153

Computed properties:
- Energy of formation: 0.393 eV per atom
- VASP energy: -7.427 eV/atom


Record 14
VASP calculation (GGA-PBE) on crystalline YMg3 at its relaxed geometry.

Cell: 6.418 6.418 6.418 Å, 150.42 126.69 62.15°
Element x y z (fractional)
Y 0.337 0.000 0.337
Mg 0.831 0.500 0.331
Mg 0.247 0.248 0.000
Mg 0.752 0.752 0.000

Computed properties:
- Energy of formation: 0.021 eV per atom
- VASP energy: -2.796 eV/atom